# 1
DFT (meta-GGA r2SCAN) results for crystalline Pm2AgRu at its relaxed geometry.

Computed properties:
**ΔE_f**: -25 kJ/mol of atoms
**Total magnetization**: 0.0 μB/f.u.

a = 7.155 Å, b = 7.155 Å, c = 7.155 Å
α = 90.00°, β = 90.00°, γ = 90.00°
Space group Fm-3m (No. 225)
Inequivalent atoms, fractional coordinates:
Pm: 0.250 0.250 0.250 [8 per cell]
Ag: 0.000 0.000 0.000 [4 per cell]
Ru: 0.000 0.000 0.500 [4 per cell]

# 2
DFT (meta-GGA r2SCAN) results for crystalline TmRhO3 at its relaxed geometry.

Computed properties:
**ΔE_f**: -243 kJ/mol of atoms
**Total magnetization**: 0.0 μB/f.u.

a = 5.702 Å, b = 7.512 Å, c = 5.174 Å
α = 90.00°, β = 90.00°, γ = 90.00°
Space group Pnma (No. 62)
Inequivalent atoms, fractional coordinates:
Tm: 0.085 0.250 0.031 [4 per cell]
Rh: 0.000 0.000 0.500 [4 per cell]
O: 0.057 0.750 0.359 [4 per cell]
O: 0.188 0.565 0.825 [8 per cell]

# 3
DFT (meta-GGA r2SCAN) results for crystalline Na2Sr3P4 at its relaxed geometry.

Computed properties:
**ΔE_f**: -95 kJ/mol of atoms
**Total magnetization**: 0.0 μB/f.u.

a = 8.001 Å, b = 7.356 Å, c = 17.179 Å
α = 90.00°, β = 117.66°, γ = 90.00°
Space group P2_1/c (No. 14)
Inequivalent atoms, fractional coordinates:
Na: 0.199 0.188 0.377 [4 per cell]
Na: 0.261 0.636 0.750 [4 per cell]
Sr: 0.058 0.684 0.371 [4 per cell]
Sr: 0.297 0.538 0.102 [4 per cell]
Sr: 0.411 0.038 0.101 [4 per cell]
P: 0.009 0.635 0.536 [4 per cell]
P: 0.175 0.021 0.752 [4 per cell]
P: 0.368 0.243 0.749 [4 per cell]
P: 0.435 0.632 0.964 [4 per cell]

# 4
DFT (meta-GGA r2SCAN) results for crystalline CuTeO4 at its relaxed geometry.

Computed properties:
**ΔE_f**: -93 kJ/mol of atoms
**Total magnetization**: 1.0 μB/f.u.

a = 4.706 Å, b = 10.331 Å, c = 7.224 Å
α = 90.00°, β = 130.22°, γ = 90.00°
Space group P2_1/c (No. 14)
Inequivalent atoms, fractional coordinates:
Cu: 0.000 0.000 0.000 [2 per cell]
Cu: 0.000 0.000 0.500 [2 per cell]
Te: 0.268 0.249 0.293 [4 per cell]
O: 0.070 0.085 0.269 [4 per cell]
O: 0.236 0.680 0.967 [4 per cell]
O: 0.247 0.173 0.030 [4 per cell]
O: 0.428 0.093 0.763 [4 per cell]